1.
Density functional theory data (PBE) for a relaxed MgZn2Ni4S10 crystal.

## Properties
**Electronic total energy**: -74.441 eV/f.u.
**Energy above the lowest structure with this stoichiometry**: 0.00 kJ per mole of atoms
**Corrected total energy (MP2020 scheme)**: -4.67 eV per atom
**Space group**: Pm (6)
**Theoretical density**: 3763 kg/m3

a b c (Å): 3.690 6.425 13.236
angles (deg): 92.62 90.00 90.00
Element x y z (fractional)
Mg: 0.750 0.060 0.019
Zn: 0.750 0.890 0.312
Zn: 0.250 0.113 0.689
Ni: 0.250 0.499 0.103
Ni: 0.750 0.507 0.895
Ni: 0.750 0.537 0.608
Ni: 0.250 0.466 0.390
S: 0.750 0.347 0.745
S: 0.250 0.657 0.253
S: 0.750 0.668 0.049
S: 0.250 0.320 0.951
S: 0.750 0.633 0.446
S: 0.250 0.369 0.553
S: 0.250 0.150 0.316
S: 0.750 0.849 0.686
S: 0.751 0.822 0.847
S: 0.250 0.175 0.150

***

2.
Density functional theory data (PBE) for a relaxed CoAg2Sn3S8 crystal.

## Properties
**Electronic total energy**: -62.410 eV/f.u.
**Corrected total energy (MP2020 scheme)**: -4.75 eV per atom
**Space group**: R-3m (166)
**Theoretical density**: 4900 kg/m3

a b c (Å): 7.470 7.470 7.470
angles (deg): 60.90 60.90 60.90
Element x y z (fractional)
Co: 0.000 0.000 0.000
Ag: 0.388 0.388 0.388
Ag: 0.612 0.612 0.612
Sn: 0.000 0.500 0.000
Sn: 0.000 0.000 0.500
Sn: 0.500 0.000 0.000
S: 0.773 0.214 0.773
S: 0.753 0.753 0.753
S: 0.786 0.227 0.227
S: 0.227 0.227 0.786
S: 0.227 0.786 0.227
S: 0.247 0.247 0.247
S: 0.214 0.773 0.773
S: 0.773 0.773 0.214

***

3.
Density functional theory data (PBE) for a relaxed RbMg14BiO16 crystal.

## Properties
**Electronic total energy**: -179.569 eV/f.u.
**Energy above the lowest structure with this stoichiometry**: 0.00 kJ per mole of atoms
**Corrected total energy (MP2020 scheme)**: -5.96 eV per atom
**Space group**: P4/mmm (123)
**Theoretical density**: 4181 kg/m3

a b c (Å): 8.818 8.818 4.549
angles (deg): 90.00 90.00 90.00
Element x y z (fractional)
Rb: 0.000 0.000 0.000
Mg: 0.000 0.500 0.000
Mg: 0.500 0.000 0.000
Mg: 0.000 0.251 0.500
Mg: 0.000 0.749 0.500
Mg: 0.500 0.235 0.500
Mg: 0.500 0.765 0.500
Mg: 0.251 0.000 0.500
Mg: 0.235 0.500 0.500
Mg: 0.749 0.000 0.500
Mg: 0.765 0.500 0.500
Mg: 0.243 0.243 0.000
Mg: 0.243 0.757 0.000
Mg: 0.757 0.243 0.000
Mg: 0.757 0.757 0.000
Bi: 0.500 0.500 0.000
O: 0.279 0.000 0.000
O: 0.238 0.500 0.000
O: 0.721 0.000 0.000
O: 0.762 0.500 0.000
O: 0.253 0.253 0.500
O: 0.253 0.747 0.500
O: 0.747 0.253 0.500
O: 0.747 0.747 0.500
O: 0.000 0.000 0.500
O: 0.000 0.500 0.500
O: 0.500 0.000 0.500
O: 0.500 0.500 0.500
O: 0.000 0.279 0.000
O: 0.000 0.721 0.000
O: 0.500 0.238 0.000
O: 0.500 0.762 0.000

***

4.
Density functional theory data (PBE) for a relaxed CsLiP2O6 crystal.

## Properties
**Electronic total energy**: -66.197 eV/f.u.
**Corrected total energy (MP2020 scheme)**: -7.03 eV per atom
**Space group**: Fdd2 (43)
**Theoretical density**: 3089 kg/m3

a b c (Å): 11.762 11.762 11.942
angles (deg): 108.73 108.73 110.36
Element x y z (fractional)
Cs: 0.373 0.625 0.964
Cs: 0.375 0.623 0.464
Cs: 0.877 0.381 0.756
Cs: 0.660 0.409 0.036
Cs: 0.624 0.120 0.244
Cs: 0.159 0.910 0.536
Cs: 0.870 0.874 0.744
Cs: 0.131 0.127 0.256
Li: 0.918 0.713 0.027
Li: 0.686 0.891 0.973
Li: 0.641 0.936 0.473
Li: 0.955 0.416 0.313
Li: 0.166 0.205 0.813
Li: 0.463 0.168 0.527
Li: 0.392 0.353 0.187
Li: 0.103 0.642 0.687
P: 0.416 0.897 0.816
P: 0.170 0.831 0.994
P: 0.311 0.073 0.947
P: 0.114 0.376 0.553
P: 0.331 0.873 0.273
P: 0.623 0.581 0.773
P: 0.350 0.331 0.684
P: 0.837 0.176 0.006
P: 0.581 0.420 0.494
P: 0.647 0.666 0.316
P: 0.823 0.561 0.447
P: 0.600 0.059 0.727
P: 0.926 0.087 0.506
P: 0.809 0.850 0.227
P: 0.081 0.600 0.184
P: 0.126 0.364 0.053
O: 0.274 0.415 0.642
O: 0.028 0.208 0.489
O: 0.974 0.581 0.058
O: 0.483 0.929 0.722
O: 0.958 0.278 0.989
O: 0.176 0.051 0.852
O: 0.152 0.356 0.936
O: 0.705 0.163 0.889
O: 0.913 0.955 0.389
O: 0.669 0.001 0.659
O: 0.679 0.733 0.222
O: 0.789 0.082 0.469
O: 0.457 0.367 0.364
O: 0.510 0.457 0.778
O: 0.751 0.919 0.159
O: 0.289 0.970 0.011
O: 0.041 0.565 0.280
O: 0.342 0.010 0.341
O: 0.456 0.857 0.322
O: 0.003 0.093 0.636
O: 0.832 0.039 0.969
O: 0.843 0.253 0.136
O: 0.207 0.760 0.278
O: 0.720 0.539 0.511
O: 0.511 0.535 0.220
O: 0.419 0.216 0.064
O: 0.165 0.524 0.142
O: 0.760 0.592 0.841
O: 0.285 0.761 0.720
O: 0.523 0.916 0.942
O: 0.801 0.426 0.352
O: 0.274 0.816 0.111
O: 0.613 0.321 0.531
O: 0.666 0.773 0.442
O: 0.074 0.449 0.648
O: 0.331 0.224 0.558
O: 0.773 0.632 0.358
O: 0.536 0.134 0.678
O: 0.382 0.023 0.858
O: 0.884 0.786 0.178
O: 0.966 0.669 0.564
O: 0.199 0.324 0.148
O: 0.106 0.402 0.436
O: 0.117 0.707 0.864
O: 0.315 0.291 0.780
O: 0.607 0.706 0.822
O: 0.071 0.863 0.031
O: 0.566 0.524 0.611

***

5.
Density functional theory data (PBE) for a relaxed TaPNCl7 crystal.

## Properties
**Electronic total energy**: -48.603 eV/f.u.
**Corrected total energy (MP2020 scheme)**: -5.29 eV per atom
**Space group**: P2_1/c (14)
**Theoretical density**: 2602 kg/m3

a b c (Å): 11.725 6.904 15.525
angles (deg): 74.35 90.00 90.00
Element x y z (fractional)
Ta: 0.920 0.020 0.380
Ta: 0.580 0.020 0.880
Ta: 0.420 0.980 0.120
Ta: 0.080 0.980 0.620
P: 0.070 0.631 0.818
P: 0.930 0.369 0.182
P: 0.570 0.369 0.682
P: 0.430 0.631 0.318
N: 0.605 0.227 0.774
N: 0.105 0.773 0.726
N: 0.395 0.773 0.226
N: 0.895 0.227 0.274
Cl: 0.901 0.071 0.663
Cl: 0.478 0.240 0.959
Cl: 0.022 0.240 0.459
Cl: 0.978 0.760 0.541
Cl: 0.835 0.745 0.348
Cl: 0.008 0.777 0.902
Cl: 0.099 0.929 0.337
Cl: 0.165 0.255 0.652
Cl: 0.745 0.076 0.956
Cl: 0.755 0.076 0.456
Cl: 0.335 0.255 0.152
Cl: 0.199 0.466 0.882
Cl: 0.992 0.223 0.098
Cl: 0.492 0.777 0.402
Cl: 0.522 0.760 0.041
Cl: 0.245 0.924 0.544
Cl: 0.401 0.929 0.837
Cl: 0.508 0.223 0.598
Cl: 0.301 0.466 0.382
Cl: 0.665 0.745 0.848
Cl: 0.050 0.568 0.190
Cl: 0.599 0.071 0.163
Cl: 0.699 0.534 0.618
Cl: 0.550 0.432 0.310
Cl: 0.255 0.924 0.044
Cl: 0.950 0.432 0.810
Cl: 0.801 0.534 0.118
Cl: 0.450 0.568 0.690

***

6.
Density functional theory data (PBE) for a relaxed OsPtCl2 crystal.

## Properties
**Electronic total energy**: -16.354 eV/f.u.
**Corrected total energy (MP2020 scheme)**: -4.40 eV per atom
**Space group**: F-43m (216)
**Theoretical density**: 11488 kg/m3

a b c (Å): 4.535 4.535 4.535
angles (deg): 60.00 60.00 60.00
Element x y z (fractional)
Os: 0.500 0.500 0.500
Pt: 0.750 0.750 0.750
Cl: 0.000 0.000 0.000
Cl: 0.250 0.250 0.250